LaCuO3 | Materials Project | PBE | relaxed; calculated formation energy = -2.42 eV/atom; mass density = 7.1 g/cm3; volume = 58.99 Å³/f.u.; calculated total energy = -6.79 eV/atom
1.0
-2.537 2.360 -4.204
1.419 -1.461 -5.053
-3.499 -2.972 -2.934
La Cu O
2 2 6
direct
0.750 0.750 0.750
0.250 0.250 0.250
0.500 0.500 0.500
0.000 0.000 0.000
0.750 0.189 0.311
0.311 0.750 0.189
0.189 0.311 0.750
0.250 0.811 0.689
0.811 0.689 0.250
0.689 0.250 0.811